(1)
Entry from the Materials Project database: an optimized crystal structure of MnSb2Pb5O11 (GGA+U).

Structure (POSCAR):
```
MnSb2Pb5O11
1.0
4.610 -5.849 0.000
4.610 5.849 0.000
0.000 0.000 11.142
Mn Sb Pb O
2 4 10 22
Direct
0.588 0.412 0.250 Mn
0.412 0.588 0.750 Mn
0.675 0.675 0.500 Sb
0.675 0.675 0.000 Sb
0.325 0.325 0.500 Sb
0.325 0.325 0.000 Sb
0.001 0.999 0.750 Pb
0.780 0.220 0.475 Pb
0.220 0.780 0.525 Pb
0.059 0.490 0.250 Pb
0.490 0.059 0.750 Pb
0.220 0.780 0.975 Pb
0.510 0.941 0.250 Pb
0.999 0.001 0.250 Pb
0.941 0.510 0.750 Pb
0.780 0.220 0.025 Pb
0.200 0.476 0.608 O
0.476 0.200 0.392 O
0.200 0.476 0.892 O
0.261 0.107 0.893 O
0.107 0.261 0.393 O
0.893 0.739 0.607 O
0.438 0.562 0.398 O
0.739 0.893 0.393 O
0.107 0.261 0.107 O
0.739 0.893 0.107 O
0.438 0.562 0.102 O
0.202 0.798 0.750 O
0.524 0.800 0.608 O
0.562 0.438 0.898 O
0.524 0.800 0.892 O
0.798 0.202 0.250 O
0.476 0.200 0.108 O
0.893 0.739 0.893 O
0.261 0.107 0.607 O
0.562 0.438 0.602 O
0.800 0.524 0.392 O
0.800 0.524 0.108 O
```

Crystal system: orthorhombic
Volume, Å³/atom: 15.812
Symmetry: Cmcm (63)
Calculated formation energy, eV/atom: -1.738
Magnetic moment, μB/cell: 10.00

(2)
Entry from the Materials Project database: an optimized crystal structure of MnSi6Pb8O21 (GGA+U).

Structure (POSCAR):
```
MnSi6Pb8O21
1.0
-8.992 10.419 4.134
-12.402 5.882 -4.253
-13.494 1.368 4.746
Mn Si Pb O
2 12 16 42
Direct
0.750 0.750 0.750 Mn
0.250 0.250 0.250 Mn
0.164 0.932 0.542 Si
0.836 0.068 0.458 Si
0.568 0.336 0.958 Si
0.542 0.164 0.932 Si
0.336 0.958 0.568 Si
0.068 0.458 0.836 Si
0.664 0.042 0.432 Si
0.958 0.568 0.336 Si
0.932 0.542 0.164 Si
0.042 0.432 0.664 Si
0.432 0.664 0.042 Si
0.458 0.836 0.068 Si
0.284 0.529 0.804 Pb
0.662 0.662 0.662 Pb
0.196 0.716 0.471 Pb
0.971 0.216 0.696 Pb
0.304 0.029 0.784 Pb
0.338 0.338 0.338 Pb
0.804 0.284 0.529 Pb
0.029 0.784 0.304 Pb
0.471 0.196 0.716 Pb
0.696 0.971 0.216 Pb
0.216 0.696 0.971 Pb
0.838 0.838 0.838 Pb
0.162 0.162 0.162 Pb
0.784 0.304 0.029 Pb
0.716 0.471 0.196 Pb
0.529 0.804 0.284 Pb
0.625 0.250 0.875 O
0.465 0.524 0.881 O
0.875 0.625 0.250 O
0.352 0.251 0.030 O
0.535 0.476 0.119 O
0.233 0.415 0.799 O
0.201 0.767 0.585 O
0.024 0.965 0.381 O
0.619 0.976 0.035 O
0.030 0.352 0.251 O
0.250 0.875 0.625 O
0.267 0.701 0.085 O
0.249 0.148 0.470 O
0.648 0.749 0.970 O
0.125 0.375 0.750 O
0.381 0.024 0.965 O
0.299 0.915 0.733 O
0.799 0.233 0.415 O
0.375 0.750 0.125 O
0.530 0.751 0.852 O
0.970 0.648 0.749 O
0.767 0.585 0.201 O
0.251 0.030 0.352 O
0.148 0.470 0.249 O
0.415 0.799 0.233 O
0.915 0.733 0.299 O
0.035 0.619 0.976 O
0.976 0.035 0.619 O
0.585 0.201 0.767 O
0.119 0.535 0.476 O
0.733 0.299 0.915 O
0.749 0.970 0.648 O
0.881 0.465 0.524 O
0.470 0.249 0.148 O
0.476 0.119 0.535 O
0.701 0.085 0.267 O
0.751 0.852 0.530 O
0.750 0.125 0.375 O
0.524 0.881 0.465 O
0.965 0.381 0.024 O
0.852 0.530 0.751 O
0.085 0.267 0.701 O
```

Crystal system: trigonal
Volume, Å³/atom: 16.193
Symmetry: R-3c (167)
Calculated formation energy, eV/atom: -2.458
Magnetic moment, μB/cell: 10.00

(3)
Entry from the Materials Project database: an optimized crystal structure of Mn2Si2Pb2O9 (GGA+U).

Structure (POSCAR):
```
Mn2Si2Pb2O9
1.0
3.707 -5.128 0.000
3.707 5.128 0.000
0.000 0.000 11.341
Mn Si Pb O
4 4 4 18
Direct
0.413 0.413 0.500 Mn
0.315 0.685 0.250 Mn
0.685 0.315 0.750 Mn
0.587 0.587 0.000 Mn
0.392 0.201 0.273 Si
0.201 0.392 0.727 Si
0.799 0.608 0.227 Si
0.608 0.799 0.773 Si
0.934 0.279 0.028 Pb
0.721 0.066 0.472 Pb
0.066 0.721 0.528 Pb
0.279 0.934 0.972 Pb
0.659 0.341 0.250 O
0.877 0.629 0.086 O
0.759 0.634 0.759 O
0.419 0.705 0.466 O
0.629 0.877 0.914 O
0.018 0.671 0.312 O
0.123 0.371 0.586 O
0.671 0.018 0.688 O
0.341 0.659 0.750 O
0.371 0.123 0.414 O
0.581 0.295 0.966 O
0.295 0.581 0.034 O
0.366 0.241 0.741 O
0.982 0.329 0.812 O
0.705 0.419 0.534 O
0.241 0.366 0.259 O
0.634 0.759 0.241 O
0.329 0.982 0.188 O
```

Crystal system: orthorhombic
Volume, Å³/atom: 14.373
Symmetry: C222_1 (20)
Calculated formation energy, eV/atom: -2.293
Magnetic moment, μB/cell: 16.00

(4)
Entry from the Materials Project database: an optimized crystal structure of MnTePb2O6 (GGA+U).

Structure (POSCAR):
```
MnTePb2O6
1.0
4.713 -1.173 -3.161
-2.659 2.048 -4.724
2.930 7.479 1.594
Mn Te Pb O
2 2 4 12
Direct
0.000 0.500 0.250 Mn
0.500 0.000 0.750 Mn
0.500 0.000 0.250 Te
0.000 0.500 0.750 Te
0.000 0.000 0.000 Pb
0.500 0.500 0.500 Pb
0.000 0.000 0.500 Pb
0.500 0.500 0.000 Pb
0.500 0.000 0.489 O
0.000 0.500 0.989 O
0.500 0.000 0.011 O
0.000 0.500 0.511 O
0.738 0.762 0.250 O
0.238 0.262 0.750 O
0.262 0.238 0.250 O
0.762 0.738 0.750 O
0.262 0.762 0.250 O
0.762 0.262 0.750 O
0.738 0.238 0.250 O
0.238 0.738 0.750 O
```

Volume, Å³/atom: 13.749
Calculated formation energy, eV/atom: -1.645
Magnetic moment, μB/cell: 0.00

(5)
Entry from the Materials Project database: an optimized crystal structure of MnVPbO5 (GGA+U).

Structure (POSCAR):
```
MnVPbO5
1.0
-2.078 -0.655 5.663
-1.488 -7.550 -1.420
8.641 -2.250 2.910
Mn V Pb O
4 4 4 20
Direct
0.000 0.500 0.000 Mn
0.500 0.000 0.500 Mn
0.500 0.500 0.000 Mn
0.000 0.000 0.500 Mn
0.750 0.146 0.200 V
0.750 0.646 0.300 V
0.250 0.854 0.800 V
0.250 0.354 0.700 V
0.250 0.393 0.327 Pb
0.250 0.893 0.173 Pb
0.750 0.607 0.673 Pb
0.750 0.107 0.827 Pb
0.750 0.324 0.084 O
0.750 0.824 0.416 O
0.250 0.676 0.916 O
0.250 0.176 0.584 O
0.750 0.973 0.095 O
0.750 0.473 0.405 O
0.250 0.027 0.905 O
0.250 0.527 0.595 O
0.506 0.134 0.305 O
0.994 0.634 0.195 O
0.006 0.866 0.695 O
0.494 0.366 0.805 O
0.494 0.866 0.695 O
0.006 0.366 0.805 O
0.994 0.134 0.305 O
0.506 0.634 0.195 O
0.250 0.379 0.070 O
0.250 0.879 0.430 O
0.750 0.621 0.930 O
0.750 0.121 0.570 O
```

Crystal system: orthorhombic
Volume, Å³/atom: 13.934
Symmetry: Pnma (62)
Calculated formation energy, eV/atom: -2.089
Magnetic moment, μB/cell: 16.01

(6)
Entry from the Materials Project database: an optimized crystal structure of PrMn2O5 (GGA+U).

Structure (POSCAR):
```
PrMn2O5
1.0
-2.913 1.691 -4.769
0.098 -7.188 -2.609
-7.597 -1.584 4.079
Pr Mn O
4 8 20
Direct
0.000 0.358 0.672 Pr
0.000 0.642 0.328 Pr
0.000 0.858 0.828 Pr
0.000 0.142 0.172 Pr
0.500 0.090 0.851 Mn
0.500 0.910 0.149 Mn
0.500 0.590 0.649 Mn
0.500 0.410 0.351 Mn
0.257 0.500 0.000 Mn
0.743 0.000 0.500 Mn
0.743 0.500 0.000 Mn
0.257 0.000 0.500 Mn
0.248 0.902 0.293 O
0.248 0.098 0.707 O
0.752 0.402 0.207 O
0.752 0.598 0.793 O
0.752 0.098 0.707 O
0.752 0.902 0.293 O
0.248 0.598 0.793 O
0.248 0.402 0.207 O
0.500 0.348 0.937 O
0.500 0.652 0.063 O
0.500 0.848 0.563 O
0.500 0.152 0.437 O
0.277 0.000 0.000 O
0.723 0.500 0.500 O
0.723 0.000 0.000 O
0.277 0.500 0.500 O
0.000 0.157 0.448 O
0.000 0.843 0.552 O
0.000 0.657 0.052 O
0.000 0.343 0.948 O
```

Crystal system: orthorhombic
Volume, Å³/atom: 12.231
Symmetry: Pbam (55)
Calculated formation energy, eV/atom: -2.598

(7)
Entry from the Materials Project database: an optimized crystal structure of PrMn7O12 (GGA+U).

Structure (POSCAR):
```
PrMn7O12
1.0
-0.017 6.580 -0.105
-2.296 -2.114 5.794
6.141 -2.198 -0.868
Pr Mn O
1 7 12
Direct
0.000 0.000 0.000 Pr
0.000 0.500 0.500 Mn
0.500 0.500 0.000 Mn
0.500 0.000 0.500 Mn
0.500 0.500 0.500 Mn
0.500 0.000 0.000 Mn
0.000 0.000 0.500 Mn
0.000 0.500 0.000 Mn
0.131 0.819 0.305 O
0.819 0.305 0.131 O
0.305 0.131 0.819 O
0.869 0.181 0.695 O
0.181 0.695 0.869 O
0.695 0.869 0.181 O
0.476 0.178 0.315 O
0.178 0.315 0.476 O
0.315 0.476 0.178 O
0.524 0.822 0.685 O
0.822 0.685 0.524 O
0.685 0.524 0.822 O
```

Crystal system: trigonal
Volume, Å³/atom: 10.942
Symmetry: R-3 (148)
Calculated formation energy, eV/atom: -2.235
Magnetic moment, μB/cell: 28.00

(8)
Entry from the Materials Project database: an optimized crystal structure of PrMnO3 (GGA+U).

Structure (POSCAR):
```
PrMnO3
1.0
-0.123 3.168 4.521
-5.769 -1.117 0.626
1.664 -6.150 4.355
Pr Mn O
4 4 12
Direct
0.015 0.932 0.750 Pr
0.515 0.568 0.250 Pr
0.485 0.432 0.750 Pr
0.985 0.068 0.250 Pr
0.500 0.000 0.500 Mn
0.000 0.500 0.500 Mn
0.000 0.500 0.000 Mn
0.500 0.000 0.000 Mn
0.715 0.313 0.453 O
0.215 0.187 0.547 O
0.785 0.813 0.047 O
0.285 0.687 0.953 O
0.285 0.687 0.547 O
0.785 0.813 0.453 O
0.215 0.187 0.953 O
0.715 0.313 0.047 O
0.092 0.476 0.250 O
0.592 0.024 0.750 O
0.408 0.976 0.250 O
0.908 0.524 0.750 O
```

Crystal system: orthorhombic
Volume, Å³/atom: 12.591
Symmetry: Pnma (62)
Calculated formation energy, eV/atom: -2.947

(9)
Entry from the Materials Project database: an optimized crystal structure of PrMn2O6 (GGA+U).

Structure (POSCAR):
```
PrMn2O6
1.0
5.357 0.000 0.000
0.000 5.417 0.000
0.000 0.000 7.617
Pr Mn O
2 4 12
Direct
0.013 0.711 0.000 Pr
0.513 0.289 0.500 Pr
0.010 0.238 0.753 Mn
0.010 0.238 0.247 Mn
0.510 0.762 0.253 Mn
0.510 0.762 0.747 Mn
0.059 0.252 0.500 O
0.216 0.963 0.781 O
0.216 0.963 0.219 O
0.276 0.472 0.219 O
0.276 0.472 0.781 O
0.435 0.746 0.500 O
0.559 0.748 0.000 O
0.716 0.037 0.719 O
0.716 0.037 0.281 O
0.776 0.528 0.719 O
0.776 0.528 0.281 O
0.935 0.254 0.000 O
```

Crystal system: orthorhombic
Volume, Å³/atom: 12.280
Symmetry: Pmn2_1 (31)
Calculated formation energy, eV/atom: -2.098
Magnetic moment, μB/cell: 10.00

(10)
Entry from the Materials Project database: an optimized crystal structure of PrMn7O12 (GGA+U).

Structure (POSCAR):
```
PrMn7O12
1.0
3.776 5.351 0.000
-3.776 5.351 0.000
0.000 5.329 5.385
Pr Mn O
1 7 12
Direct
0.000 0.000 0.000 Pr
0.000 0.000 0.500 Mn
0.500 0.500 0.500 Mn
0.500 0.500 0.000 Mn
0.000 0.500 0.000 Mn
0.500 0.000 0.000 Mn
0.000 0.500 0.500 Mn
0.500 0.000 0.500 Mn
0.685 0.300 0.834 O
0.700 0.315 0.166 O
0.315 0.700 0.166 O
0.300 0.685 0.834 O
0.171 0.171 0.133 O
0.829 0.829 0.867 O
0.822 0.822 0.487 O
0.178 0.178 0.513 O
0.133 0.483 0.688 O
0.517 0.867 0.312 O
0.867 0.517 0.312 O
0.483 0.133 0.688 O
```

Crystal system: monoclinic
Volume, Å³/atom: 10.881
Symmetry: C2/m (12)
Calculated formation energy, eV/atom: -2.235
Magnetic moment, μB/cell: 28.00

(11)
Entry from the Materials Project database: an optimized crystal structure of PrMn7O12 (GGA+U).

Structure (POSCAR):
```
PrMn7O12
1.0
-3.791 3.791 3.791
3.791 -3.791 3.791
3.791 3.791 -3.791
Pr Mn O
1 7 12
Direct
0.000 0.000 0.000 Pr
0.500 0.000 0.000 Mn
0.000 0.000 0.500 Mn
0.000 0.500 0.500 Mn
0.500 0.500 0.500 Mn
0.000 0.500 0.000 Mn
0.500 0.500 0.000 Mn
0.500 0.000 0.500 Mn
0.307 0.825 0.132 O
0.825 0.517 0.693 O
0.825 0.132 0.307 O
0.175 0.483 0.307 O
0.132 0.307 0.825 O
0.483 0.307 0.175 O
0.868 0.693 0.175 O
0.517 0.693 0.825 O
0.693 0.825 0.517 O
0.307 0.175 0.483 O
0.175 0.868 0.693 O
0.693 0.175 0.868 O
```

Crystal system: cubic
Volume, Å³/atom: 10.895
Symmetry: Im-3 (204)
Calculated formation energy, eV/atom: -2.235
Magnetic moment, μB/cell: 28.00